This record from the Materials Project database describes crystalline Ba4TiAl3P4O20F4 at its relaxed geometry. The functional is GGA-PBE.

a b c (Å): 5.264 7.066 12.900
angles (deg): 90.25 90.23 101.99
Element x y z (fractional)
P 0.429 0.799 0.615
P 0.070 0.696 0.110
P 0.571 0.201 0.385
P 0.930 0.304 0.890
F 0.893 0.548 0.632
F 0.606 0.957 0.131
F 0.394 0.043 0.869
F 0.107 0.452 0.368
O 0.767 0.059 0.383
O 0.650 0.354 0.472
O 0.208 0.427 0.912
O 0.571 0.759 0.957
O 0.932 0.208 0.783
O 0.302 0.066 0.405
O 0.233 0.941 0.617
O 0.069 0.262 0.544
O 0.792 0.573 0.088
O 0.568 0.296 0.279
O 0.735 0.445 0.888
O 0.848 0.148 0.975
O 0.265 0.555 0.112
O 0.931 0.738 0.456
O 0.152 0.852 0.025
O 0.350 0.646 0.528
O 0.432 0.704 0.721
O 0.429 0.241 0.043
O 0.068 0.792 0.217
O 0.698 0.934 0.595
Ba 0.950 0.814 0.805
Ba 0.547 0.686 0.303
Ba 0.453 0.314 0.697
Ba 0.050 0.186 0.195
Al 0.000 0.500 0.500
Al 0.500 0.000 0.000
Al 0.500 0.500 0.000
Ti 0.000 0.000 0.500

total DFT energy (no corrections): -254.17 eV per cell
ρ: 4.24 g/cm³
formation enthalpy at 0 K: -3186 meV/atom
space group: P-1 (2)